LiH3O2 | PBE | relaxed

Output
SG: C2/m
Calculated formation energy: -9.2 eV/f.u.

Unit cell a=5.6163 b=5.6163 c=3.2469 alpha=103.97 beta=103.97 gamma=95.95
With the nearest neighbours (Å) after each atom.
Positions (direct):
Li 0.1541 0.8459 0.0000  4 O 1.99-2.00
Li 0.8459 0.1541 0.0000  4 O 1.99-2.00
H 0.2372 0.2372 0.8486  1 O 0.98
H 0.2551 0.5187 0.3690  1 O 1.02
H 0.4813 0.7449 0.6310  1 O 1.02
H 0.5187 0.2551 0.3690  1 O 1.02
H 0.7449 0.4813 0.6310  1 O 1.02
H 0.7628 0.7628 0.1514  1 O 0.98
O 0.2170 0.2170 0.1296  1 H 0.98
O 0.2928 0.7072 0.5000  2 H 1.02
O 0.7072 0.2928 0.5000  2 H 1.02
O 0.7830 0.7830 0.8704  1 H 0.98

Li4P5HO15 | PBE | relaxed

Output
SG: P-1
Calculated formation energy: -64.7 eV/f.u.

Unit cell a=6.7235 b=7.3479 c=11.5445 alpha=72.70 beta=83.30 gamma=85.40
With the nearest neighbours (Å) after each atom.
Positions (direct):
Li 0.0751 0.1035 0.3239  4 O 2.00-2.11
Li 0.1148 0.1388 0.0551  4 O 2.08-2.24
Li 0.1866 0.1888 0.7637  5 O 2.04-2.24
Li 0.2209 0.2124 0.5119  4 O 1.92-2.02
Li 0.7791 0.7876 0.4881  4 O 1.92-2.02
Li 0.8134 0.8112 0.2363  5 O 2.04-2.24
Li 0.8852 0.8612 0.9449  4 O 2.08-2.24
Li 0.9249 0.8965 0.6761  4 O 2.00-2.11
P 0.1096 0.5249 0.1407  4 O 1.49-1.64
P 0.2091 0.6242 0.5482  4 O 1.50-1.62
P 0.2994 0.7404 0.2728  4 O 1.51-1.63
P 0.3560 0.7786 0.9370  4 O 1.50-1.59
P 0.4275 0.8438 0.6698  4 O 1.49-1.63
P 0.5725 0.1562 0.3302  4 O 1.49-1.63
P 0.6440 0.2214 0.0630  4 O 1.50-1.59
P 0.7006 0.2596 0.7272  4 O 1.51-1.63
P 0.7909 0.3758 0.4518  4 O 1.50-1.62
P 0.8904 0.4751 0.8593  4 O 1.49-1.64
H 0.4579 0.2031 0.9231  1 O 1.06
H 0.5421 0.7969 0.0769  1 O 1.06
O 0.0374 0.7683 0.5469  1 P 1.50
O 0.0638 0.3320 0.8838  1 P 1.50
O 0.0790 0.3168 0.1669  1 P 1.49
O 0.1338 0.8933 0.2456  1 P 1.51
O 0.1796 0.4142 0.5962  1 P 1.50
O 0.1955 0.9346 0.9284  1 P 1.50
O 0.2289 0.5485 0.2495  2 P 1.62-1.63
O 0.2600 0.9952 0.6561  1 P 1.51
O 0.2816 0.5791 0.0243  2 P 1.59-1.64
O 0.3318 0.6635 0.4142  2 P 1.60-1.62
O 0.3622 0.1055 0.3799  1 P 1.49
O 0.3804 0.6694 0.6214  2 P 1.61-1.62
O 0.4254 0.7278 0.8146  2 P 1.58-1.63
O 0.4436 0.1902 0.0174  1 H 1.06
O 0.4946 0.2163 0.7934  1 H 1.46, 1 P 1.51
O 0.5054 0.7837 0.2066  1 H 1.46, 1 P 1.51
O 0.5564 0.8098 0.9826  1 H 1.06
O 0.5746 0.2722 0.1854  2 P 1.58-1.63
O 0.6196 0.3306 0.3786  2 P 1.61-1.62
O 0.6378 0.8945 0.6201  1 P 1.49
O 0.6682 0.3365 0.5858  2 P 1.60-1.62
O 0.7184 0.4209 0.9757  2 P 1.59-1.64
O 0.7400 0.0048 0.3439  1 P 1.51
O 0.7711 0.4515 0.7505  2 P 1.62-1.63
O 0.8045 0.0654 0.0716  1 P 1.50
O 0.8204 0.5858 0.4038  1 P 1.50
O 0.8662 0.1067 0.7544  1 P 1.51
O 0.9210 0.6832 0.8331  1 P 1.49
O 0.9362 0.6680 0.1162  1 P 1.50
O 0.9626 0.2317 0.4531  1 P 1.50

LiPH2O3 | PBE | relaxed

Output
SG: Pna2_1
Calculated formation energy: -13.7 eV/f.u.

Unit cell a=11.1758 b=5.1351 c=5.2601 alpha=90.00 beta=90.00 gamma=90.00
With the nearest neighbours (Å) after each atom.
Positions (direct):
Li 0.0793 0.0189 0.0000  4 O 1.96-2.07
Li 0.4207 0.5189 0.5000  4 O 1.96-2.07
Li 0.5793 0.4811 0.0000  4 O 1.96-2.07
Li 0.9207 0.9811 0.5000  4 O 1.96-2.07
P 0.1554 0.3151 0.4831  1 H 1.41, 2 O 1.52-1.53
P 0.3446 0.8151 0.9831  1 H 1.41, 2 O 1.52-1.53
P 0.6554 0.1849 0.4831  1 H 1.41, 2 O 1.52-1.53
P 0.8446 0.6849 0.9831  1 H 1.41, 2 O 1.52-1.53
H 0.1303 0.5654 0.3882  1 P 1.41
H 0.1606 0.5068 0.8568  1 O 1.04
H 0.3394 0.0068 0.3568  1 O 1.04
H 0.3697 0.0654 0.8882  1 P 1.41
H 0.6303 0.9346 0.3882  1 P 1.41
H 0.6606 0.9932 0.8568  1 O 1.04
H 0.8394 0.4932 0.3568  1 O 1.04
H 0.8697 0.4346 0.8882  1 P 1.41
O 0.0718 0.1159 0.3655  1 P 1.52
O 0.1238 0.3376 0.7799  1 H 1.04
O 0.2109 0.7658 0.9440  1 H 1.52, 1 P 1.53
O 0.2891 0.2658 0.4440  1 H 1.52, 1 P 1.53
O 0.3762 0.8376 0.2799  1 H 1.04
O 0.4282 0.6159 0.8655  1 P 1.52
O 0.5718 0.3841 0.3655  1 P 1.52
O 0.6238 0.1624 0.7799  1 H 1.04
O 0.7109 0.7342 0.9440  1 H 1.52, 1 P 1.53
O 0.7891 0.2342 0.4440  1 H 1.52, 1 P 1.53
O 0.8762 0.6624 0.2799  1 H 1.04
O 0.9282 0.8841 0.8655  1 P 1.52

LiSbPHO5 | PBE | relaxed

Output
SG: P-1
Calculated formation energy: -19.5 eV/f.u.

Unit cell a=5.3008 b=5.8425 c=7.9575 alpha=106.05 beta=107.51 gamma=97.69
With the nearest neighbours (Å) after each atom.
Positions (direct):
Li 0.2372 0.4029 0.3191  4 O 1.99-2.13
Li 0.7628 0.5971 0.6809  4 O 1.99-2.13
Sb 0.5000 0.0000 0.0000  6 O 2.29-2.34
Sb 0.5000 0.0000 0.5000  6 O 2.26-2.38
P 0.1758 0.3762 0.7293  4 O 1.55-1.57
P 0.8242 0.6238 0.2707  4 O 1.55-1.57
H 0.1123 0.9518 0.1717  1 O 1.00
H 0.8877 0.0482 0.8283  1 O 1.00
O 0.1094 0.7241 0.4316  1 P 1.57
O 0.1719 0.6415 0.8375  1 P 1.56
O 0.2100 0.2144 0.8562  1 P 1.55
O 0.2952 0.0694 0.2233  1 H 1.00
O 0.4031 0.3774 0.6413  1 P 1.57
O 0.5969 0.6226 0.3587  1 P 1.57
O 0.7048 0.9306 0.7767  1 H 1.00
O 0.7900 0.7856 0.1438  1 P 1.55
O 0.8281 0.3585 0.1625  1 P 1.56
O 0.8906 0.2759 0.5684  1 P 1.57

| no. | electronic total energy (Ry/atom) |
| --- | --- |
| 1 | -0.3654 |
| 2 | -0.4902 |
| 3 | -0.4265 |
| 4 | -0.4541 |